Below is a relaxed MgMo3WSe2S6 crystal, with properties calculated at the PBE level.

Output
E_tot: -6.775 eV per atom
calculated formation energy: -0.9374 eV/atom

Cell: 3.2282 3.2282 43.5255 Å, 90.00 90.00 120.00°
Space group P3m1 (No. 156)
Asymmetric unit:
Mg  0.0000  0.0000  0.0000 x1
Mo  0.3333  0.6667  0.9000 x1
Mo  0.6667  0.3333  0.1003 x1
Mo  0.6667  0.3333  0.4716 x1
W  0.3333  0.6667  0.2818 x1
Se  0.3333  0.6667  0.4323 x1
Se  0.3333  0.6667  0.5109 x1
S  0.3333  0.6667  0.0644 x1
S  0.3333  0.6667  0.1358 x1
S  0.6667  0.3333  0.2459 x1
S  0.6667  0.3333  0.3177 x1
S  0.6667  0.3333  0.8644 x1
S  0.6667  0.3333  0.9359 x1